ZnGeN2 | PBE | relaxed

Output
E_form, eV/atom: -0.30
Final energy, eV per cell: -92.21

abc: 6.449 5.524 5.550
angles: 88.70 90.00 90.00
Positions (direct):
Zn  0.133  0.406  0.324
Zn  0.367  0.906  0.324
Zn  0.867  0.594  0.676
Zn  0.633  0.094  0.676
N  0.622  0.424  0.822
N  0.853  0.601  0.297
N  0.647  0.101  0.297
N  0.122  0.076  0.178
N  0.353  0.899  0.703
N  0.878  0.924  0.822
N  0.147  0.399  0.703
N  0.378  0.576  0.178
Ge  0.137  0.084  0.833
Ge  0.363  0.584  0.833
Ge  0.863  0.916  0.167
Ge  0.637  0.416  0.167